The following is a PBE-GGA calculation of an optimized crystal structure of DyH9C5N2O8, from Materials Project.

abc: 6.7045 6.7045 6.6537
angles: 106.07 106.07 65.01
Element x y z (fractional)
Dy (0.0000, 0.0000, 0.0000)
H (0.0852, 0.9148, 0.5000)
H (0.1853, 0.3443, 0.4173)
H (0.4472, 0.5330, 0.8034)
H (0.4636, 0.1625, 0.1263)
H (0.4670, 0.5528, 0.1966)
H (0.4774, 0.2579, 0.5231)
H (0.6557, 0.8147, 0.5827)
H (0.7421, 0.5226, 0.4769)
H (0.8375, 0.5364, 0.8737)
C (0.2885, 0.5283, 0.7005)
C (0.4689, 0.0580, 0.9642)
C (0.4717, 0.7115, 0.2995)
C (0.9324, 0.0676, 0.5000)
C (0.9420, 0.5311, 0.0358)
N (0.3163, 0.3620, 0.5358)
N (0.6380, 0.6837, 0.4642)
O (0.0112, 0.6875, 0.1260)
O (0.1021, 0.6707, 0.7415)
O (0.3125, 0.9888, 0.8740)
O (0.3293, 0.8979, 0.2585)
O (0.6368, 0.0177, 0.8828)
O (0.8437, 0.1442, 0.6659)
O (0.8558, 0.1563, 0.3341)
O (0.9823, 0.3632, 0.1172)

- polymorph energy (0 for the lowest one) (eV per atom) = 0.011
- energy of formation (kJ/mol of atoms) = -118
- corrected total energy (MP2020 scheme) (eV/cell) = -168.2
- E (eV for the cell shown) = -162.69
- mass density (g/cm3) = 2.51

---

The following is a PBE-GGA calculation of an optimized crystal structure of Sr5CaCu4Bi4O8, from Materials Project.

abc: 5.6866 5.6639 14.6507
angles: 90.00 100.73 90.00
Element x y z (fractional)
Sr (0.0000, 0.0000, 0.0000)
Sr (0.1100, 0.0000, 0.2217)
Sr (0.3932, 0.5000, 0.7776)
Sr (0.6068, 0.5000, 0.2224)
Sr (0.8900, 0.0000, 0.7783)
Ca (0.5000, 0.5000, 0.0000)
Cu (0.0547, 0.5000, 0.1150)
Cu (0.4438, 0.0000, 0.8849)
Cu (0.5562, 0.0000, 0.1151)
Cu (0.9453, 0.5000, 0.8850)
Bi (0.1148, 0.5000, 0.4116)
Bi (0.2046, 0.0000, 0.5889)
Bi (0.7954, 0.0000, 0.4111)
Bi (0.8852, 0.5000, 0.5884)
O (0.1937, 0.2525, 0.8789)
O (0.1937, 0.7475, 0.8789)
O (0.3094, 0.2542, 0.1158)
O (0.3094, 0.7458, 0.1158)
O (0.6906, 0.2542, 0.8842)
O (0.6906, 0.7458, 0.8842)
O (0.8063, 0.2525, 0.1211)
O (0.8063, 0.7475, 0.1211)

- energy of formation (kJ/mol of atoms) = -158
- corrected total energy (MP2020 scheme) (eV/cell) = -118.0
- E (eV for the cell shown) = -112.48
- mass density (g/cm3) = 6.08

---

The following is a PBE-GGA calculation of an optimized crystal structure of Sr4LaCl11, from Materials Project.

abc: 5.0177 5.0247 35.6686
angles: 90.54 90.01 90.04
Element x y z (fractional)
Sr (0.0000, 0.0000, 0.0000)
Sr (0.9999, 0.0019, 0.1997)
Sr (0.0014, 0.0052, 0.3998)
Sr (0.0078, 0.0037, 0.5990)
Sr (0.4989, 0.5029, 0.2997)
Sr (0.5009, 0.5052, 0.4997)
Sr (0.5018, 0.5020, 0.0997)
Sr (0.5048, 0.4997, 0.9009)
La (0.4894, 0.4841, 0.7027)
La (0.9972, 0.0261, 0.7974)
Cl (0.9996, 0.5026, 0.2496)
Cl (0.0014, 0.5125, 0.7499)
Cl (0.0020, 0.5013, 0.9507)
Cl (0.0020, 0.5039, 0.1495)
Cl (0.0030, 0.5055, 0.3500)
Cl (0.0042, 0.5024, 0.5493)
Cl (0.0047, 0.4983, 0.8532)
Cl (0.0047, 0.5048, 0.6470)
Cl (0.0196, 0.0147, 0.7032)
Cl (0.4994, 0.0009, 0.0497)
Cl (0.4986, 0.0058, 0.4497)
Cl (0.4998, 0.0034, 0.2498)
Cl (0.5011, 0.0037, 0.3497)
Cl (0.5032, 0.0020, 0.1497)
Cl (0.5028, 0.0023, 0.9508)
Cl (0.5047, 0.4827, 0.7967)
Cl (0.5056, 0.0027, 0.5488)
Cl (0.5077, 0.9974, 0.8531)
Cl (0.5091, 0.0054, 0.6466)
Cl (0.5096, 0.9891, 0.7499)
Cl (0.9980, 0.5011, 0.0496)
Cl (0.9993, 0.5062, 0.4501)

- polymorph energy (0 for the lowest one) (eV per atom) = 0.000
- energy of formation (kJ/mol of atoms) = -269
- corrected total energy (MP2020 scheme) (eV/cell) = -153.3
- E (eV for the cell shown) = -139.83
- mass density (g/cm3) = 3.25

---

The following is a PBE-GGA calculation of an optimized crystal structure of Cs3TiF6, from Materials Project.

abc: 6.8490 6.8490 6.8490
angles: 60.00 60.00 60.00
Element x y z (fractional)
Cs (0.0000, 0.0000, 0.0000)
Cs (0.2500, 0.2500, 0.2500)
Cs (0.7500, 0.7500, 0.7500)
Ti (0.5000, 0.5000, 0.5000)
F (0.2937, 0.2937, 0.7063)
F (0.2937, 0.7063, 0.2937)
F (0.2937, 0.7063, 0.7063)
F (0.7063, 0.2937, 0.2937)
F (0.7063, 0.2937, 0.7063)
F (0.7063, 0.7063, 0.2937)

- energy of formation (kJ/mol of atoms) = -315
- corrected total energy (MP2020 scheme) (eV/cell) = -54.7
- E (eV for the cell shown) = -51.92
- mass density (g/cm3) = 4.10

---

The following is a PBE-GGA calculation of an optimized crystal structure of La2Cd2O5, from Materials Project.

abc: 6.2214 16.0482 6.0228
angles: 90.00 90.00 90.00
Element x y z (fractional)
La (0.0621, 0.1158, 0.0073)
La (0.0621, 0.3842, 0.0073)
La (0.4379, 0.6158, 0.5073)
La (0.4379, 0.8842, 0.5073)
La (0.5621, 0.1158, 0.4927)
La (0.5621, 0.3842, 0.4927)
La (0.9379, 0.6158, 0.9927)
La (0.9379, 0.8842, 0.9927)
Cd (0.0000, 0.0000, 0.5000)
Cd (0.0000, 0.5000, 0.5000)
Cd (0.0723, 0.2500, 0.5236)
Cd (0.4277, 0.7500, 0.0236)
Cd (0.5000, 0.0000, 0.0000)
Cd (0.5000, 0.5000, 0.0000)
Cd (0.5723, 0.2500, 0.9764)
Cd (0.9277, 0.7500, 0.4764)
O (0.0723, 0.7500, 0.1214)
O (0.0735, 0.6403, 0.6353)
O (0.0735, 0.8597, 0.6353)
O (0.1875, 0.5352, 0.1835)
O (0.1875, 0.9648, 0.1835)
O (0.3125, 0.0352, 0.6835)
O (0.3125, 0.4648, 0.6835)
O (0.4265, 0.1403, 0.1353)
O (0.4265, 0.3597, 0.1353)
O (0.4277, 0.2500, 0.6214)
O (0.5723, 0.7500, 0.3786)
O (0.5735, 0.6403, 0.8647)
O (0.5735, 0.8597, 0.8647)
O (0.6875, 0.5352, 0.3165)
O (0.6875, 0.9648, 0.3165)
O (0.8125, 0.0352, 0.8165)
O (0.8125, 0.4648, 0.8165)
O (0.9265, 0.1403, 0.3647)
O (0.9265, 0.3597, 0.3647)
O (0.9277, 0.2500, 0.8786)

- energy of formation (kJ/mol of atoms) = -259
- corrected total energy (MP2020 scheme) (eV/cell) = -242.3
- E (eV for the cell shown) = -228.56
- mass density (g/cm3) = 6.44

---

The following is a PBE-GGA calculation of an optimized crystal structure of Bi6O5F8, from Materials Project.

abc: 5.8670 5.7718 34.5127
angles: 90.00 90.15 90.00
Element x y z (fractional)
Bi (0.2059, 0.2035, 0.3346)
Bi (0.2059, 0.2965, 0.8346)
Bi (0.2072, 0.7181, 0.5828)
Bi (0.2066, 0.7265, 0.9176)
Bi (0.2066, 0.7735, 0.4176)
Bi (0.2072, 0.7819, 0.0828)
Bi (0.2130, 0.2323, 0.1646)
Bi (0.2130, 0.2677, 0.6646)
Bi (0.2172, 0.2474, 0.4998)
Bi (0.2172, 0.2526, 0.9998)
Bi (0.2271, 0.7092, 0.7486)
Bi (0.2271, 0.7908, 0.2486)
Bi (0.7729, 0.2092, 0.7514)
Bi (0.7729, 0.2908, 0.2514)
Bi (0.7828, 0.7474, 0.0002)
Bi (0.7828, 0.7526, 0.5002)
Bi (0.7870, 0.7323, 0.3354)
Bi (0.7870, 0.7677, 0.8354)
Bi (0.7928, 0.2181, 0.9172)
Bi (0.7934, 0.2265, 0.5824)
Bi (0.7934, 0.2735, 0.0824)
Bi (0.7928, 0.2819, 0.4172)
Bi (0.7941, 0.7035, 0.1655)
Bi (0.7941, 0.7965, 0.6654)
O (0.0083, 0.5168, 0.4580)
O (0.0083, 0.9832, 0.9580)
O (0.0098, 0.5175, 0.0422)
O (0.0098, 0.9825, 0.5422)
O (0.0158, 0.0094, 0.8730)
O (0.0158, 0.4906, 0.3730)
O (0.0212, 0.0094, 0.6261)
O (0.0212, 0.4906, 0.1261)
O (0.0240, 0.5132, 0.2102)
O (0.0240, 0.9868, 0.7102)
O (0.9760, 0.0132, 0.2898)
O (0.9760, 0.4868, 0.7898)
O (0.9788, 0.5094, 0.8739)
O (0.9788, 0.9906, 0.3739)
O (0.9842, 0.5094, 0.6270)
O (0.9842, 0.9906, 0.1270)
O (0.9902, 0.0175, 0.4578)
O (0.9902, 0.4825, 0.9578)
O (0.9917, 0.0168, 0.0420)
O (0.9917, 0.4832, 0.5420)
F (0.0390, 0.5112, 0.2908)
F (0.0390, 0.9888, 0.7908)
F (0.3722, 0.6457, 0.6852)
F (0.3722, 0.8543, 0.1852)
F (0.3836, 0.1646, 0.2483)
F (0.3836, 0.3354, 0.7483)
F (0.3906, 0.6499, 0.8189)
F (0.3906, 0.8501, 0.3189)
F (0.4206, 0.1298, 0.1101)
F (0.4206, 0.3702, 0.6101)
F (0.4236, 0.1145, 0.3896)
F (0.4236, 0.3855, 0.8896)
F (0.4652, 0.5702, 0.9641)
F (0.4652, 0.9298, 0.4641)
F (0.4717, 0.5677, 0.5368)
F (0.4717, 0.9323, 0.0368)
F (0.5283, 0.0677, 0.9632)
F (0.5283, 0.4323, 0.4632)
F (0.5348, 0.0702, 0.5359)
F (0.5348, 0.4298, 0.0359)
F (0.5764, 0.6145, 0.1104)
F (0.5764, 0.8855, 0.6104)
F (0.5794, 0.6298, 0.3899)
F (0.5794, 0.8702, 0.8899)
F (0.6094, 0.1499, 0.6811)
F (0.6094, 0.3501, 0.1811)
F (0.6164, 0.6646, 0.2517)
F (0.6164, 0.8354, 0.7517)
F (0.6278, 0.1457, 0.8148)
F (0.6278, 0.3543, 0.3148)
F (0.9610, 0.0112, 0.2092)
F (0.9610, 0.4888, 0.7092)

- polymorph energy (0 for the lowest one) (eV per atom) = 0.000
- energy of formation (kJ/mol of atoms) = -224
- corrected total energy (MP2020 scheme) (eV/cell) = -430.1
- E (eV for the cell shown) = -401.58
- mass density (g/cm3) = 8.44

---

The following is a PBE-GGA calculation of an optimized crystal structure of AlNi2, from Materials Project.

abc: 4.0134 4.0134 4.9466
angles: 90.00 90.00 120.00
Element x y z (fractional)
Al (0.3333, 0.6667, 0.1906)
Al (0.6667, 0.3333, 0.8094)
Ni (0.0000, 0.0000, 0.0000)
Ni (0.0000, 0.0000, 0.5000)
Ni (0.3333, 0.6667, 0.6867)
Ni (0.6667, 0.3333, 0.3133)

- energy of formation (kJ/mol of atoms) = -48
- E (eV for the cell shown) = -33.62
- mass density (g/cm3) = 6.95

---

The following is a PBE-GGA calculation of an optimized crystal structure of Nb8PtSe20, from Materials Project.

abc: 10.5118 10.5118 19.6730
angles: 105.40 105.40 19.03
Element x y z (fractional)
Nb (0.0772, 0.0772, 0.4095)
Nb (0.1524, 0.1524, 0.9427)
Nb (0.2667, 0.2667, 0.2200)
Nb (0.3307, 0.3307, 0.6891)
Nb (0.6693, 0.6693, 0.3109)
Nb (0.7333, 0.7333, 0.7800)
Nb (0.8476, 0.8476, 0.0573)
Nb (0.9228, 0.9228, 0.5905)
Pt (0.5000, 0.5000, 0.5000)
Se (0.0712, 0.0712, 0.2738)
Se (0.1435, 0.1435, 0.8023)
Se (0.2022, 0.2022, 0.6760)
Se (0.2041, 0.2041, 0.4131)
Se (0.2542, 0.2542, 0.0718)
Se (0.3317, 0.3317, 0.8235)
Se (0.3791, 0.3791, 0.4891)
Se (0.4030, 0.4030, 0.9859)
Se (0.4462, 0.4462, 0.1109)
Se (0.4796, 0.4796, 0.3701)
Se (0.5204, 0.5204, 0.6299)
Se (0.5538, 0.5538, 0.8891)
Se (0.5970, 0.5970, 0.0141)
Se (0.6209, 0.6209, 0.5109)
Se (0.6683, 0.6683, 0.1765)
Se (0.7458, 0.7458, 0.9282)
Se (0.7959, 0.7959, 0.5869)
Se (0.7978, 0.7978, 0.3240)
Se (0.8565, 0.8565, 0.1977)
Se (0.9288, 0.9288, 0.7262)

- energy of formation (kJ/mol of atoms) = -104
- corrected total energy (MP2020 scheme) (eV/cell) = -188.0
- E (eV for the cell shown) = -178.55
- mass density (g/cm3) = 6.12

---

The following is a PBE-GGA calculation of an optimized crystal structure of K4MgTi2O6, from Materials Project.

abc: 6.7908 6.7908 5.7168
angles: 99.58 99.58 106.16
Element x y z (fractional)
K (0.1696, 0.8304, 0.0000)
K (0.4287, 0.8997, 0.5478)
K (0.8304, 0.1696, 0.0000)
K (0.8997, 0.4287, 0.5478)
Mg (0.9071, 0.9071, 0.4191)
Ti (0.3681, 0.3681, 0.4299)
Ti (0.5028, 0.5028, 0.9857)
O (0.1357, 0.1357, 0.3444)
O (0.3113, 0.5453, 0.2069)
O (0.3219, 0.5550, 0.7122)
O (0.5453, 0.3113, 0.2069)
O (0.5550, 0.3219, 0.7122)
O (0.7343, 0.7343, 0.0936)

- polymorph energy (0 for the lowest one) (eV per atom) = 0.000
- energy of formation (kJ/mol of atoms) = -234
- corrected total energy (MP2020 scheme) (eV/cell) = -83.0
- E (eV for the cell shown) = -78.92
- mass density (g/cm3) = 2.54

---

The following is a PBE-GGA calculation of an optimized crystal structure of ScSnPt, from Materials Project.

abc: 4.5920 4.5920 4.5920
angles: 60.00 60.00 60.00
Element x y z (fractional)
Sc (0.0000, 0.0000, 0.0000)
Sn (0.7500, 0.7500, 0.7500)
Pt (0.2500, 0.2500, 0.2500)

- energy of formation (kJ/mol of atoms) = -40
- E (eV for the cell shown) = -17.66
- mass density (g/cm3) = 8.70

---

The following is a PBE-GGA calculation of an optimized crystal structure of Li3Cu3P2O8, from Materials Project.

abc: 5.0989 5.4889 6.1600
angles: 90.36 90.09 90.16
Element x y z (fractional)
Li (0.0000, 0.0000, 0.0000)
Li (0.0005, 0.4810, 0.2538)
Li (0.5027, 0.3073, 0.5007)
Cu (0.0007, 0.4904, 0.7428)
Cu (0.5056, 0.8110, 0.7594)
Cu (0.5121, 0.8110, 0.2419)
P (0.0064, 0.9867, 0.4958)
P (0.5034, 0.3248, 0.0053)
O (0.3117, 0.0010, 0.4991)
O (0.3856, 0.0626, 0.0016)
O (0.3915, 0.4571, 0.2105)
O (0.4130, 0.4534, 0.7912)
O (0.8091, 0.3194, 0.0129)
O (0.8901, 0.2492, 0.4870)
O (0.9123, 0.8586, 0.7090)
O (0.9171, 0.8367, 0.2921)

- polymorph energy (0 for the lowest one) (eV per atom) = 0.014
- energy of formation (kJ/mol of atoms) = -199
- corrected total energy (MP2020 scheme) (eV/cell) = -101.4
- E (eV for the cell shown) = -95.93
- mass density (g/cm3) = 3.87

---

The following is a PBE-GGA calculation of an optimized crystal structure of K2ZrP2O8, from Materials Project.

abc: 5.2451 5.2451 9.1303
angles: 90.00 90.00 120.00
Element x y z (fractional)
K (0.3333, 0.6667, 0.1504)
K (0.6667, 0.3333, 0.8496)
Zr (0.0000, 0.0000, 0.5000)
P (0.3333, 0.6667, 0.6943)
P (0.6667, 0.3333, 0.3057)
O (0.0907, 0.3615, 0.6353)
O (0.2708, 0.9093, 0.6353)
O (0.3333, 0.6667, 0.8613)
O (0.3615, 0.2708, 0.3647)
O (0.6385, 0.7292, 0.6353)
O (0.6667, 0.3333, 0.1387)
O (0.7292, 0.0907, 0.3647)
O (0.9093, 0.6385, 0.3647)

- energy of formation (kJ/mol of atoms) = -291
- corrected total energy (MP2020 scheme) (eV/cell) = -100.4
- E (eV for the cell shown) = -94.91
- mass density (g/cm3) = 2.74

---

Q: Which value of mass density does entry 3 give?
A: 3.25 g/cm3